Entry 1:
! GGA+U MnSbO4, optimized geometry; values from VASP
&SYSTEM
  ibrav = 0, nat = 24, ntyp = 3
/
ATOMIC_SPECIES
Mn 54.94 Mn.upf
Sb 121.76 Sb.upf
O 16.00 O.upf
CELL_PARAMETERS angstrom
-1.984 3.315 -1.150
5.498 0.560 -7.871
-5.330 -4.595 -4.051
ATOMIC_POSITIONS crystal
Mn 0.000 0.999 0.500
Mn 0.500 0.499 0.250
Mn 0.500 0.499 0.750
Mn 0.000 0.999 0.000
Sb 0.000 0.249 0.750
Sb 0.500 0.749 0.500
Sb 0.000 0.249 0.250
Sb 0.500 0.749 0.000
O 0.000 0.453 0.750
O 0.500 0.953 0.500
O 0.000 0.453 0.250
O 0.500 0.953 0.000
O 0.000 0.048 0.750
O 0.500 0.548 0.500
O 0.000 0.048 0.250
O 0.500 0.548 0.000
O 0.500 0.295 0.750
O 0.000 0.795 0.500
O 0.500 0.295 0.250
O 0.000 0.795 0.000
O 0.000 0.206 0.500
O 0.500 0.706 0.250
O 0.000 0.206 0.000
O 0.500 0.706 0.750
! E_tot, eV per atom: -6.650
! Energy of formation, eV/atom: -1.872
! Size of the total moment, μB per atom: 0.00
! Corrected total energy (MP2020 scheme), eV per formula unit: -44.3

=====

Entry 2:
! GGA+U MnSbO4, optimized geometry; values from VASP
&SYSTEM
  ibrav = 0, nat = 24, ntyp = 3
/
ATOMIC_SPECIES
Mn 54.94 Mn.upf
Sb 121.76 Sb.upf
O 16.00 O.upf
CELL_PARAMETERS angstrom
5.267 -0.320 -0.196
1.197 7.230 7.960
0.000 -3.156 5.167
ATOMIC_POSITIONS crystal
Mn 0.500 0.000 0.750
Mn 0.000 0.500 0.000
Mn 0.500 0.000 0.250
Mn 0.000 0.500 0.500
Sb 0.750 0.750 0.625
Sb 0.750 0.750 0.125
Sb 0.250 0.250 0.375
Sb 0.250 0.250 0.875
O 0.050 0.618 0.691
O 0.050 0.618 0.191
O 0.550 0.119 0.441
O 0.550 0.119 0.941
O 0.950 0.381 0.809
O 0.950 0.381 0.310
O 0.450 0.882 0.559
O 0.450 0.882 0.059
O 0.881 0.857 0.322
O 0.881 0.857 0.822
O 0.381 0.357 0.072
O 0.381 0.357 0.572
O 0.119 0.143 0.179
O 0.119 0.143 0.679
O 0.619 0.643 0.928
O 0.619 0.643 0.428
! E_tot, eV per atom: -6.638
! Energy of formation, eV/atom: -1.860
! Size of the total moment, μB per atom: 0.00
! Corrected total energy (MP2020 scheme), eV per formula unit: -44.2

=====

Entry 3:
! GGA+U Mn13Si2Sb2O28, optimized geometry; values from VASP
&SYSTEM
  ibrav = 0, nat = 45, ntyp = 4
/
ATOMIC_SPECIES
Mn 54.94 Mn.upf
Si 28.09 Si.upf
Sb 121.76 Sb.upf
O 16.00 O.upf
CELL_PARAMETERS angstrom
5.587 0.000 0.000
1.687 8.683 0.000
2.766 0.031 11.410
ATOMIC_POSITIONS crystal
Mn 0.000 0.000 0.000
Mn 0.002 0.725 0.830
Mn 0.069 0.368 0.252
Mn 0.149 0.723 0.532
Mn 0.314 0.003 0.364
Mn 0.353 0.369 0.682
Mn 0.404 0.736 0.996
Mn 0.557 0.015 0.829
Mn 0.640 0.370 0.109
Mn 0.707 0.015 0.535
Mn 0.712 0.738 0.364
Mn 0.782 0.367 0.830
Mn 0.925 0.369 0.532
Si 0.121 0.051 0.681
Si 0.583 0.686 0.681
Sb 0.209 0.368 0.973
Sb 0.498 0.371 0.389
O 0.037 0.242 0.682
O 0.071 0.775 0.980
O 0.073 0.984 0.560
O 0.076 0.484 0.841
O 0.174 0.014 0.251
O 0.229 0.482 0.522
O 0.237 0.233 0.392
O 0.286 0.718 0.680
O 0.344 0.473 0.261
O 0.351 0.961 0.981
O 0.357 0.269 0.104
O 0.363 0.778 0.382
O 0.418 0.019 0.682
O 0.473 0.254 0.840
O 0.479 0.502 0.971
O 0.547 0.727 0.108
O 0.633 0.753 0.802
O 0.635 0.255 0.521
O 0.645 0.963 0.384
O 0.667 0.496 0.681
O 0.736 0.009 0.108
O 0.754 0.755 0.562
O 0.760 0.506 0.392
O 0.775 0.270 0.259
O 0.927 0.471 0.101
O 0.949 0.982 0.801
O 0.951 0.231 0.970
O 0.964 0.729 0.251
! E_tot, eV per atom: -7.169
! Energy of formation, eV/atom: -1.929
! Symmetry: P1
! Size of the total moment, μB per atom: 1.18
! Corrected total energy (MP2020 scheme), eV per formula unit: -363.5

=====

Entry 4:
! GGA+U Mn13Si2Sb2O28, optimized geometry; values from VASP
&SYSTEM
  ibrav = 0, nat = 45, ntyp = 4
/
ATOMIC_SPECIES
Mn 54.94 Mn.upf
Si 28.09 Si.upf
Sb 121.76 Sb.upf
O 16.00 O.upf
CELL_PARAMETERS angstrom
2.794 -11.410 0.000
2.794 11.410 0.000
-1.687 0.000 8.683
ATOMIC_POSITIONS crystal
Mn 0.000 0.000 0.000
Mn 0.042 0.359 0.631
Mn 0.204 0.352 0.354
Mn 0.287 0.715 0.999
Mn 0.352 0.204 0.354
Mn 0.359 0.042 0.631
Mn 0.429 0.577 0.002
Mn 0.577 0.429 0.002
Mn 0.644 0.961 0.366
Mn 0.646 0.795 0.646
Mn 0.715 0.287 0.999
Mn 0.795 0.646 0.646
Mn 0.961 0.644 0.366
Si 0.230 0.230 0.683
Si 0.768 0.768 0.318
Sb 0.148 0.856 0.000
Sb 0.856 0.148 0.000
O 0.010 0.710 0.591
O 0.065 0.065 0.349
O 0.117 0.406 0.863
O 0.120 0.279 0.114
O 0.181 0.611 0.640
O 0.279 0.120 0.114
O 0.280 0.401 0.616
O 0.298 0.998 0.407
O 0.314 0.314 0.873
O 0.383 0.810 0.360
O 0.401 0.280 0.616
O 0.406 0.117 0.863
O 0.422 0.999 0.099
O 0.574 0.993 0.898
O 0.596 0.716 0.387
O 0.598 0.887 0.137
O 0.611 0.181 0.640
O 0.684 0.684 0.127
O 0.710 0.010 0.591
O 0.716 0.596 0.387
O 0.723 0.883 0.884
O 0.810 0.383 0.360
O 0.883 0.723 0.884
O 0.887 0.598 0.137
O 0.933 0.933 0.650
O 0.993 0.574 0.898
O 0.998 0.298 0.407
O 0.999 0.422 0.099
! E_tot, eV per atom: -7.169
! Energy of formation, eV/atom: -1.928
! Symmetry: Cm
! Size of the total moment, μB per atom: 1.18
! Corrected total energy (MP2020 scheme), eV per formula unit: -363.5

=====

Repeat the first record exactly.
! GGA+U MnSbO4, optimized geometry; values from VASP
&SYSTEM
  ibrav = 0, nat = 24, ntyp = 3
/
ATOMIC_SPECIES
Mn 54.94 Mn.upf
Sb 121.76 Sb.upf
O 16.00 O.upf
CELL_PARAMETERS angstrom
-1.984 3.315 -1.150
5.498 0.560 -7.871
-5.330 -4.595 -4.051
ATOMIC_POSITIONS crystal
Mn 0.000 0.999 0.500
Mn 0.500 0.499 0.250
Mn 0.500 0.499 0.750
Mn 0.000 0.999 0.000
Sb 0.000 0.249 0.750
Sb 0.500 0.749 0.500
Sb 0.000 0.249 0.250
Sb 0.500 0.749 0.000
O 0.000 0.453 0.750
O 0.500 0.953 0.500
O 0.000 0.453 0.250
O 0.500 0.953 0.000
O 0.000 0.048 0.750
O 0.500 0.548 0.500
O 0.000 0.048 0.250
O 0.500 0.548 0.000
O 0.500 0.295 0.750
O 0.000 0.795 0.500
O 0.500 0.295 0.250
O 0.000 0.795 0.000
O 0.000 0.206 0.500
O 0.500 0.706 0.250
O 0.000 0.206 0.000
O 0.500 0.706 0.750
! E_tot, eV per atom: -6.650
! Energy of formation, eV/atom: -1.872
! Size of the total moment, μB per atom: 0.00
! Corrected total energy (MP2020 scheme), eV per formula unit: -44.3

=====

Repeat the first record exactly.
! GGA+U MnSbO4, optimized geometry; values from VASP
&SYSTEM
  ibrav = 0, nat = 24, ntyp = 3
/
ATOMIC_SPECIES
Mn 54.94 Mn.upf
Sb 121.76 Sb.upf
O 16.00 O.upf
CELL_PARAMETERS angstrom
-1.984 3.315 -1.150
5.498 0.560 -7.871
-5.330 -4.595 -4.051
ATOMIC_POSITIONS crystal
Mn 0.000 0.999 0.500
Mn 0.500 0.499 0.250
Mn 0.500 0.499 0.750
Mn 0.000 0.999 0.000
Sb 0.000 0.249 0.750
Sb 0.500 0.749 0.500
Sb 0.000 0.249 0.250
Sb 0.500 0.749 0.000
O 0.000 0.453 0.750
O 0.500 0.953 0.500
O 0.000 0.453 0.250
O 0.500 0.953 0.000
O 0.000 0.048 0.750
O 0.500 0.548 0.500
O 0.000 0.048 0.250
O 0.500 0.548 0.000
O 0.500 0.295 0.750
O 0.000 0.795 0.500
O 0.500 0.295 0.250
O 0.000 0.795 0.000
O 0.000 0.206 0.500
O 0.500 0.706 0.250
O 0.000 0.206 0.000
O 0.500 0.706 0.750
! E_tot, eV per atom: -6.650
! Energy of formation, eV/atom: -1.872
! Size of the total moment, μB per atom: 0.00
! Corrected total energy (MP2020 scheme), eV per formula unit: -44.3

=====

> Which value of corrected total energy (MP2020 scheme) does entry 2 give?

-44.2 eV per formula unit